(1)
VFeAs | GGA-PBE | optimized geometry

Output
spin magnetization: 4.348 μB per cell
calculated total energy: -23.19 eV/f.u.
symmetry: P-62m
density: 7.7 Mg/m³

```
9
Lattice="-5.859 -1.584 0.282 4.322 -4.182 0.864 -0.022 0.720 3.591" Properties=species:S:1:pos:R:3 pbc="T T T"
As 0.929 -3.316 0.670
As -2.465 -2.450 0.476
As -0.011 0.360 1.796
Fe -1.451 -0.392 0.070
Fe 1.071 -1.036 0.214
V -0.652 -2.045 2.274
V 2.509 -2.078 2.299
V -3.426 -0.564 1.960
Fe -1.156 -4.337 0.862
```

***

(2)
K2HfO6 | GGA-PBE | optimized geometry

Output
spin magnetization: 22.186 μB per cell
calculated total energy: -51.77 eV/f.u.
energy with MP2020 corrections: -223.552 eV for the cell shown
ΔE to the lowest computed polymorph: 0.0 meV per atom
symmetry: Cmme
density: 3.8 Mg/m³

```
36
Lattice="-8.333 4.251 5.014 -1.291 -10.328 -2.076 2.428 -1.343 5.173" Properties=species:S:1:pos:R:3 pbc="T T T"
O -3.646 -7.779 1.358
O -6.168 1.596 6.615
O -2.629 -5.703 3.108
O -2.578 -2.609 1.571
O -5.955 -1.161 7.488
O -1.477 -0.849 1.511
K -7.471 2.503 4.222
O -6.286 -6.487 1.266
K -5.157 -6.983 3.938
O -1.241 -6.260 0.624
O -5.894 -4.703 2.584
O 0.588 -2.589 4.674
O -2.441 -8.458 3.952
O -3.549 0.358 6.753
O -3.338 0.410 1.673
O -5.719 -6.572 6.600
K -5.625 -1.318 2.363
O -1.474 -3.448 -0.204
K -1.570 -6.103 5.748
O -7.784 -4.832 3.437
O -0.015 -6.926 3.212
O -4.567 -1.718 5.004
O -8.149 -2.629 3.142
K -2.039 -0.438 4.174
Hf -1.830 -7.359 2.298
O -7.181 -0.495 4.900
O -4.755 1.038 4.159
K -6.851 -3.477 5.643
K 0.275 -9.924 3.890
O -1.301 -2.717 5.527
K -0.345 -3.944 2.469
O -4.618 -4.812 6.540
O -1.028 -9.017 1.496
Hf -5.366 -0.062 5.813
Hf -0.645 -5.164 -1.038
Hf -4.166 2.125 2.507
```

***

(3)
Si4H2O9 | GGA-PBE | optimized geometry

Output
spin magnetization: 0.001 μB per cell
calculated total energy: -107.29 eV/f.u.
energy with MP2020 corrections: -453.883 eV for the cell shown
ΔE to the lowest computed polymorph: 130.3 meV per atom
symmetry: Fdd2
density: 2.0 Mg/m³

```
60
Lattice="0.000 5.328 14.982 5.296 0.000 14.982 5.296 5.328 0.000" Properties=species:S:1:pos:R:3 pbc="T T T"
O 9.843 6.173 18.993
Si 4.835 2.661 7.425
O 5.336 5.254 12.177
H 3.737 6.127 13.616
Si 5.296 8.345 14.982
H 2.825 2.507 3.521
O 6.592 6.606 7.621
Si 5.296 2.210 14.982
O 7.905 7.918 19.668
O 5.955 7.902 23.724
O 9.640 9.763 26.044
Si 6.379 6.399 12.676
H 2.471 2.507 11.461
O 1.376 3.919 7.145
Si 8.405 5.325 14.916
Si 8.957 6.771 20.102
Si 4.213 6.399 17.287
O 5.151 7.377 16.283
Si 6.932 6.771 24.843
Si 2.648 0.352 7.491
O 6.046 6.173 25.952
Si 4.284 4.106 12.611
H 5.119 5.172 25.994
O 7.286 5.237 16.233
Si 6.861 9.063 20.167
O 8.090 10.041 23.774
O 9.321 6.583 15.327
O 3.089 5.642 16.325
O 3.398 3.509 11.502
O 7.984 7.918 25.277
O 6.649 9.270 15.112
O 5.607 3.137 16.254
O 4.985 3.137 13.709
O 7.195 3.509 18.461
Si 2.187 5.325 15.048
Si 6.309 4.106 17.352
O 6.992 7.099 11.410
H 5.473 5.172 3.970
O 5.257 5.254 17.787
O 7.503 5.642 13.639
O 9.934 7.902 21.221
O 4.000 6.606 22.343
O 7.799 10.041 21.171
H 4.208 3.462 21.107
O 9.240 9.270 29.834
O 3.920 3.919 7.836
Si 2.648 4.874 7.491
O 8.255 5.801 21.200
H 6.856 6.127 16.347
O 5.738 8.306 21.130
H 6.385 3.462 8.856
O 10.151 8.306 23.816
O 6.568 6.583 29.618
O 7.633 5.801 23.745
O 6.249 9.763 18.901
O 3.307 5.237 13.730
O 3.601 7.099 18.553
Si 9.027 9.063 24.778
Si 0.461 2.661 7.557
O 5.442 7.377 13.681
```

***

(4)
Cd2S3N2O12 | GGA-PBE | optimized geometry

Output
spin magnetization: 23.065 μB per cell
calculated total energy: -99.13 eV/f.u.
energy with MP2020 corrections: -429.482 eV for the cell shown
symmetry: P2_13
density: 3.0 Mg/m³

```
76
Lattice="-3.192 -9.802 -2.428 4.854 0.743 -9.383 8.855 -3.941 4.269" Properties=species:S:1:pos:R:3 pbc="T T T"
O 11.417 -2.646 -5.518
S 6.466 -8.872 -7.819
O 6.796 -3.050 -8.614
O 1.991 -6.420 -3.562
O 6.086 -9.766 -3.666
O 3.870 -1.314 -7.100
O 7.386 -3.204 -5.284
N 3.166 -3.914 -2.271
S 6.487 -11.186 -3.802
S 9.766 -8.027 -4.675
Cd 7.911 -1.763 -7.031
O 3.909 -7.419 -1.144
O 8.433 -7.439 -4.404
O 1.667 -7.616 -5.653
O 9.659 -9.518 -4.690
N 3.609 -10.458 -5.716
O 1.137 -9.969 -7.435
O 7.683 -9.755 1.324
O 6.359 -5.354 -4.989
O -1.390 -7.840 -4.214
O 6.138 -7.200 -2.115
Cd -0.182 -9.015 -5.815
O 5.382 -2.264 -0.793
S 4.616 -0.184 -6.466
O 7.903 -9.237 -7.623
S 2.619 -6.798 -4.865
Cd 7.193 -7.667 2.144
O 2.246 -9.711 -2.629
O 10.212 -7.556 -6.012
O 3.546 -1.276 0.477
O 6.880 -11.459 -5.218
S 5.280 -6.928 -0.932
Cd 8.821 -10.904 -6.327
Cd 3.555 -3.465 -6.339
S -1.536 -7.252 -2.861
N 3.419 -7.039 -8.365
O 4.987 -4.473 -7.834
O -0.605 -7.942 -1.916
O 5.871 -7.629 0.232
N 9.851 -4.588 -3.622
N 4.597 -10.459 -0.828
S 6.410 -3.963 -4.467
O 0.656 -10.537 -4.271
O -0.163 -3.775 -0.386
O 3.827 -7.625 -4.604
O 10.702 -7.603 -3.621
O 6.324 -8.018 -9.009
O 9.710 -3.182 -7.180
Cd 6.111 -7.554 -4.383
N 8.153 -5.795 -7.417
O 5.978 -8.133 -6.631
S 1.371 -10.860 -3.014
Cd 6.985 -3.934 -0.748
O 1.303 -5.723 -0.518
O 8.677 -5.483 -0.948
S 6.269 -4.120 2.622
O 7.174 -3.648 1.529
O 1.942 -2.678 -4.876
O 5.058 -3.338 -4.598
O 5.354 -12.044 -3.422
O 1.331 -0.777 -3.472
O 1.040 -8.714 -9.527
O 5.258 -5.456 -0.667
O 7.659 -11.417 -2.916
N 8.586 -8.900 -1.462
O 6.072 -0.394 -6.642
O 2.959 -5.586 -5.627
N 0.684 -0.846 -0.491
S 5.657 -3.896 -9.040
O 5.660 -10.114 -7.949
S 9.693 -5.912 0.062
O 5.929 -11.366 1.859
O 9.058 -6.823 1.043
Cd 1.672 -7.696 -1.672
O 6.483 -5.569 2.848
O 6.838 -3.938 -3.059
```

***

(5)
HoGaO3 | GGA-PBE | optimized geometry

Output
spin magnetization: 0.000 μB per cell
calculated total energy: -36.10 eV/f.u.
energy with MP2020 corrections: -152.632 eV for the cell shown
symmetry: Pnma
density: 8.3 Mg/m³

```
20
Lattice="-2.124 -4.136 -2.511 5.086 -2.249 -0.598 -0.820 -3.627 6.667" Properties=species:S:1:pos:R:3 pbc="T T T"
O 0.299 -1.921 -0.494
O 2.767 -3.967 2.038
O 4.016 -5.351 4.139
O -0.015 -3.307 2.056
Ga -0.410 -1.813 3.334
Ho -1.370 -5.028 3.653
O 1.243 -4.667 -0.201
O -0.625 -6.044 1.520
Ho 1.944 -1.961 1.358
O 0.899 -5.344 3.759
O 1.843 -8.091 4.052
Ho 0.198 -8.051 2.201
Ga 1.481 -3.192 -1.554
Ga 0.000 0.000 0.000
O 3.080 -2.581 -0.511
O 2.157 -6.704 1.503
O -1.874 -4.661 -0.580
Ho 3.512 -4.984 -0.094
O -0.938 -7.431 4.069
Ga 1.071 -5.006 1.779
```

***

(6)
He | GGA-PBE | optimized geometry

Output
calculated total energy: 0.00 eV/f.u.
ΔE to the lowest computed polymorph: 8.3 meV per atom
symmetry: Fm-3m
density: 0.5 Mg/m³

```
1
Lattice="0.000 1.849 1.849 1.849 0.000 1.849 1.849 1.849 0.000" Properties=species:S:1:pos:R:3 pbc="T T T"
He 0.000 0.000 0.000
```

***

(7)
CaH14I10O7 | GGA-PBE | optimized geometry

Output
spin magnetization: 0.001 μB per cell
calculated total energy: -126.07 eV/f.u.
energy with MP2020 corrections: -261.761 eV for the cell shown
symmetry: P-1
density: 3.4 Mg/m³

```
64
Lattice="-4.570 7.920 -2.741 3.420 -4.710 -8.094 -13.428 -7.967 -0.010" Properties=species:S:1:pos:R:3 pbc="T T T"
I -11.635 -1.704 -3.860
H -2.425 -5.487 -6.408
H -0.005 -3.895 -5.752
O -5.847 2.972 -5.878
H -9.712 -3.289 -2.154
I -8.561 -10.893 -7.521
H -10.058 -4.280 -0.999
I -4.289 -3.126 -4.486
H -7.832 -4.220 -5.263
H -7.561 -3.788 -3.784
H -11.283 -5.667 -6.235
O -10.513 -5.268 -5.796
O -12.197 -5.712 -3.387
H -7.564 -5.623 -1.584
H -7.842 -7.766 -5.385
I -14.220 -3.730 -6.699
I -11.678 -5.358 -9.561
I -5.845 -6.627 -7.208
I -8.733 1.870 -3.636
Ca -4.805 1.243 -7.222
O -4.019 3.259 -8.265
O -8.185 -4.292 -4.355
H -1.706 1.661 -7.528
I -2.943 -3.053 -6.985
H -1.912 0.111 -7.567
H -6.746 -0.537 -5.582
H -10.102 -4.671 -6.445
H -3.093 3.534 -8.420
O -7.998 -6.373 -2.037
O -4.774 -0.519 -8.905
O -9.804 -4.238 -1.940
I -5.744 -3.161 -1.770
H -12.872 -6.418 -3.316
I -10.289 -1.631 -6.358
I -4.388 3.181 -2.084
H -12.665 -4.868 -3.278
O -10.559 -8.016 -2.579
O -6.393 -0.465 -6.490
H -3.295 0.910 -4.609
I -10.190 -7.939 -8.761
H -7.013 0.866 -9.261
I -0.358 -1.027 -4.146
O -2.381 0.955 -7.458
Ca -9.773 -6.000 -3.623
H -9.255 -8.444 -5.374
I -7.320 -0.457 -2.791
O -4.065 0.511 -5.048
H -4.866 -1.468 -8.690
I -7.257 -4.300 -8.053
I -2.900 0.601 -1.284
I -12.163 -8.568 -6.474
H -7.017 -0.970 -7.061
I -8.833 -1.597 -9.074
I -2.415 3.810 -4.371
H -14.573 -0.863 -5.092
H -4.520 -0.478 -9.846
H -5.323 3.687 -5.471
H -4.476 -0.086 -4.400
O -6.579 1.616 -8.807
O -8.731 -7.730 -4.967
H -12.153 0.729 -4.436
H -6.736 3.009 -5.459
I -6.016 6.136 -3.324
H -11.485 -8.291 -2.425
```

***

(8)
K6Na14Tl18Hg | GGA-PBE | optimized geometry

Output
spin magnetization: 0.000 μB per cell
calculated total energy: -72.63 eV/f.u.
symmetry: Pm-3
density: 5.7 Mg/m³

```
39
Lattice="10.883 0.000 0.000 0.000 10.883 0.000 0.000 0.000 10.883" Properties=species:S:1:pos:R:3 pbc="T T T"
Tl 8.116 0.000 9.194
Tl 0.000 9.194 2.767
Tl 9.194 2.767 0.000
Na 3.596 5.441 0.000
Tl 9.194 8.116 0.000
Tl 5.441 3.043 5.441
Na 0.000 3.596 5.441
Tl 8.116 0.000 1.689
Tl 5.441 5.441 3.043
K 8.842 0.000 5.441
Na 7.824 7.824 7.824
Tl 5.441 5.441 7.839
Na 7.287 5.441 0.000
Tl 3.043 5.441 5.441
K 0.000 5.441 8.842
Tl 2.767 0.000 9.194
Na 5.441 0.000 7.287
Tl 0.000 1.689 8.116
Tl 0.000 9.194 8.116
Hg 0.000 0.000 0.000
Na 5.441 0.000 3.596
Tl 5.441 7.839 5.441
Na 7.824 3.059 3.059
Tl 7.839 5.441 5.441
K 5.441 8.842 0.000
Tl 0.000 1.689 2.767
Na 3.059 3.059 3.059
K 2.041 0.000 5.441
Tl 2.767 0.000 1.689
K 5.441 2.041 0.000
Na 7.824 7.824 3.059
Tl 1.689 8.116 0.000
Na 3.059 3.059 7.824
Na 0.000 7.287 5.441
Tl 1.689 2.767 0.000
Na 7.824 3.059 7.824
K 0.000 5.441 2.041
Na 3.059 7.824 3.059
Na 3.059 7.824 7.824
```